Entry from the Materials Project: Na14Ga8Si7S5O48 after structural relaxation (PBE).

```
Na14Ga8Si7S5O48
1.0
-6.767 14.777 -7.171
-0.476 -7.716 -4.413
-19.514 -4.214 9.275
Na Ga Si S O
42 24 21 15 144
Direct
0.814 0.995 0.245
0.185 0.367 0.254
0.686 0.367 0.253
0.999 0.639 0.245
0.500 0.640 0.246
0.313 0.633 0.752
0.999 0.359 0.749
0.501 0.361 0.750
0.184 0.002 0.756
0.687 0.005 0.756
0.146 0.334 0.583
0.647 0.335 0.584
0.336 0.971 0.581
0.836 0.971 0.583
0.145 0.957 0.085
0.652 0.961 0.085
0.336 0.701 0.083
0.836 0.708 0.081
0.486 0.676 0.922
0.982 0.673 0.922
0.347 0.027 0.915
0.845 0.025 0.919
0.168 0.298 0.913
0.671 0.302 0.913
0.483 0.291 0.419
0.984 0.291 0.419
0.169 0.038 0.409
0.669 0.039 0.410
0.346 0.668 0.412
0.847 0.668 0.413
0.999 0.004 0.499
0.500 0.005 0.499
0.995 0.994 0.002
0.501 0.995 0.000
0.328 0.327 0.835
0.826 0.333 0.834
0.327 0.319 0.330
0.828 0.329 0.331
0.166 0.673 0.169
0.666 0.672 0.164
0.161 0.660 0.668
0.668 0.661 0.670
0.002 0.002 0.348
0.500 0.003 0.348
0.999 0.997 0.850
0.503 0.005 0.851
0.997 0.026 0.653
0.499 0.030 0.653
0.991 0.970 0.146
0.498 0.968 0.152
0.336 0.326 0.687
0.836 0.331 0.689
0.335 0.341 0.188
0.834 0.332 0.183
0.333 0.344 0.981
0.834 0.333 0.984
0.332 0.319 0.480
0.832 0.320 0.480
0.162 0.674 0.014
0.673 0.701 0.020
0.162 0.648 0.512
0.663 0.649 0.514
0.187 0.697 0.312
0.682 0.685 0.315
0.180 0.678 0.817
0.688 0.679 0.815
0.147 0.999 0.248
0.647 0.999 0.252
0.355 0.711 0.250
0.855 0.705 0.251
0.147 0.295 0.750
0.650 0.301 0.750
0.354 0.999 0.751
0.854 0.997 0.750
0.481 0.344 0.583
0.980 0.344 0.583
0.479 0.616 0.083
0.981 0.617 0.082
0.839 0.051 0.084
0.312 0.667 0.919
0.813 0.663 0.919
0.167 0.962 0.916
0.666 0.959 0.914
0.312 0.956 0.419
0.813 0.957 0.419
0.167 0.373 0.416
0.666 0.371 0.416
0.001 0.291 0.250
0.499 0.287 0.249
0.999 0.711 0.749
0.499 0.712 0.748
0.184 0.036 0.584
0.684 0.036 0.584
0.337 0.626 0.584
0.837 0.624 0.583
0.337 0.049 0.083
0.186 0.334 0.083
0.683 0.332 0.084
0.023 0.379 0.915
0.523 0.379 0.917
0.022 0.666 0.417
0.522 0.666 0.417
0.107 0.044 0.310
0.604 0.040 0.311
0.416 0.794 0.310
0.915 0.790 0.312
0.484 0.186 0.307
0.984 0.184 0.307
0.106 0.167 0.809
0.606 0.168 0.808
0.482 0.783 0.804
0.985 0.784 0.805
0.417 0.038 0.809
0.918 0.040 0.809
0.392 0.951 0.690
0.892 0.958 0.688
0.091 0.213 0.688
0.590 0.217 0.689
0.015 0.825 0.695
0.514 0.824 0.694
0.394 0.829 0.189
0.893 0.832 0.192
0.017 0.211 0.197
0.515 0.206 0.196
0.085 0.969 0.189
0.589 0.965 0.191
0.435 0.367 0.644
0.935 0.368 0.644
0.240 0.118 0.638
0.740 0.117 0.637
0.320 0.513 0.639
0.819 0.509 0.637
0.433 0.501 0.144
0.937 0.508 0.145
0.319 0.128 0.137
0.814 0.128 0.144
0.242 0.366 0.137
0.738 0.363 0.139
0.225 0.299 0.028
0.721 0.296 0.029
0.415 0.535 0.024
0.919 0.538 0.023
0.346 0.148 0.026
0.849 0.160 0.022
0.223 0.150 0.529
0.723 0.150 0.528
0.346 0.543 0.528
0.846 0.545 0.527
0.417 0.301 0.524
0.917 0.301 0.524
0.266 0.699 0.978
0.769 0.700 0.979
0.078 0.457 0.969
0.577 0.458 0.970
0.145 0.840 0.976
0.642 0.836 0.975
0.268 0.835 0.481
0.767 0.834 0.480
0.145 0.447 0.477
0.644 0.448 0.477
0.077 0.698 0.471
0.577 0.698 0.471
0.059 0.632 0.362
0.559 0.632 0.362
0.247 0.878 0.363
0.750 0.882 0.360
0.184 0.499 0.357
0.683 0.496 0.357
0.062 0.488 0.860
0.558 0.483 0.861
0.185 0.874 0.856
0.681 0.867 0.855
0.252 0.619 0.858
0.749 0.611 0.861
0.013 0.823 0.413
0.512 0.822 0.413
0.408 0.973 0.412
0.909 0.974 0.412
0.081 0.177 0.411
0.580 0.177 0.411
0.014 0.204 0.912
0.512 0.201 0.913
0.081 0.985 0.910
0.579 0.982 0.910
0.408 0.843 0.911
0.909 0.842 0.911
0.489 0.163 0.587
0.990 0.164 0.586
0.097 0.018 0.590
0.597 0.018 0.590
0.415 0.800 0.588
0.915 0.799 0.588
0.489 0.815 0.086
0.993 0.815 0.086
0.415 0.031 0.088
0.925 0.027 0.090
0.100 0.179 0.090
0.596 0.172 0.091
0.345 0.174 0.745
0.847 0.176 0.745
0.246 0.321 0.741
0.744 0.312 0.740
0.418 0.536 0.744
0.921 0.535 0.744
0.347 0.518 0.246
0.845 0.512 0.245
0.420 0.307 0.245
0.921 0.306 0.247
0.243 0.175 0.240
0.744 0.172 0.246
0.324 0.494 0.922
0.826 0.492 0.925
0.432 0.354 0.923
0.936 0.361 0.920
0.257 0.153 0.925
0.754 0.151 0.921
0.324 0.153 0.423
0.824 0.153 0.423
0.257 0.361 0.425
0.756 0.361 0.425
0.433 0.510 0.424
0.933 0.511 0.424
0.181 0.495 0.076
0.676 0.488 0.077
0.081 0.645 0.078
0.577 0.642 0.077
0.258 0.870 0.080
0.751 0.853 0.081
0.180 0.867 0.578
0.679 0.866 0.577
0.258 0.645 0.581
0.757 0.645 0.580
0.080 0.514 0.577
0.580 0.513 0.577
0.147 0.815 0.257
0.651 0.817 0.258
0.255 0.675 0.252
0.756 0.681 0.254
0.077 0.466 0.256
0.576 0.463 0.255
0.152 0.484 0.756
0.648 0.483 0.757
0.077 0.689 0.754
0.575 0.688 0.753
0.256 0.829 0.753
0.755 0.834 0.752
```

Values from the calculation:
Energy relative to the elements = -229 kJ/mol of atoms
Space group = P1 (1)
Magnetization = 0.000 μB per formula unit
Final energy = -6.106 eV per atom

***

Entry from the Materials Project: Na3GaSi2SnSO12 after structural relaxation (PBE).

```
Na3GaSi2SnSO12
1.0
-4.832 2.223 7.209
6.797 -5.788 0.751
13.780 17.082 4.250
Na Ga Si Sn S O
18 6 12 6 6 72
Direct
0.629 0.999 0.246
0.998 0.642 0.247
0.001 0.371 0.746
0.358 0.002 0.747
0.295 0.333 0.580
0.664 0.975 0.580
0.667 0.705 0.080
0.025 0.336 0.080
0.962 0.666 0.913
0.331 0.308 0.913
0.334 0.038 0.413
0.692 0.669 0.413
0.005 0.015 0.497
0.985 0.995 0.997
0.672 0.349 0.830
0.651 0.328 0.330
0.338 0.682 0.164
0.318 0.662 0.664
0.003 0.008 0.351
0.992 0.997 0.851
0.670 0.341 0.685
0.659 0.330 0.185
0.336 0.674 0.018
0.326 0.664 0.518
0.294 0.007 0.253
0.708 0.701 0.252
0.299 0.292 0.752
0.993 0.706 0.753
0.961 0.340 0.586
0.375 0.034 0.585
0.966 0.625 0.085
0.660 0.039 0.086
0.627 0.674 0.919
0.041 0.367 0.918
0.633 0.959 0.418
0.326 0.373 0.419
0.016 0.006 0.649
0.994 0.984 0.149
0.683 0.339 0.982
0.661 0.317 0.482
0.349 0.673 0.315
0.327 0.651 0.815
0.002 0.292 0.251
0.708 0.998 0.751
0.669 0.625 0.584
0.375 0.331 0.084
0.335 0.959 0.918
0.041 0.665 0.418
0.203 0.030 0.312
0.832 0.793 0.310
0.972 0.181 0.303
0.207 0.168 0.810
0.970 0.797 0.812
0.819 0.028 0.803
0.778 0.964 0.695
0.173 0.221 0.692
0.037 0.828 0.693
0.779 0.827 0.192
0.036 0.222 0.195
0.172 0.963 0.193
0.870 0.363 0.646
0.499 0.126 0.643
0.638 0.514 0.636
0.874 0.501 0.143
0.637 0.130 0.146
0.486 0.362 0.136
0.445 0.298 0.028
0.840 0.554 0.025
0.704 0.162 0.027
0.446 0.160 0.525
0.702 0.555 0.528
0.838 0.296 0.527
0.536 0.697 0.979
0.165 0.460 0.976
0.305 0.847 0.969
0.540 0.835 0.476
0.303 0.464 0.479
0.153 0.695 0.469
0.112 0.631 0.361
0.507 0.887 0.359
0.370 0.495 0.360
0.113 0.493 0.859
0.369 0.888 0.861
0.505 0.630 0.860
0.025 0.820 0.413
0.818 0.967 0.409
0.165 0.176 0.412
0.033 0.182 0.909
0.180 0.975 0.913
0.824 0.835 0.912
0.967 0.154 0.590
0.185 0.023 0.586
0.821 0.803 0.590
0.977 0.815 0.086
0.846 0.033 0.090
0.197 0.179 0.090
0.692 0.154 0.746
0.485 0.300 0.742
0.832 0.509 0.745
0.700 0.515 0.242
0.846 0.308 0.246
0.491 0.168 0.245
0.633 0.487 0.923
0.852 0.356 0.920
0.487 0.136 0.923
0.644 0.148 0.420
0.513 0.367 0.423
0.864 0.513 0.423
0.358 0.487 0.080
0.151 0.634 0.076
0.498 0.843 0.078
0.366 0.849 0.576
0.513 0.642 0.580
0.157 0.502 0.578
0.300 0.821 0.257
0.518 0.690 0.253
0.154 0.469 0.257
0.310 0.482 0.753
0.179 0.700 0.757
0.531 0.846 0.757
```

Values from the calculation:
Energy relative to the elements = -231 kJ/mol of atoms
Magnetization = 0.000 μB per formula unit
Final energy = -6.251 eV per atom